(1)
13
Lattice="-2.346 4.227 4.289 2.346 -4.227 4.289 2.346 4.227 -4.289" Properties=species:S:1:pos:R:3 comment="TmFe10Re2, optimized geometry, DFT PBE" dft_energy_ev_per_atom=-8.822 delta_e_f_ev_per_atom=-0.048 pbc="T T T"
Tm 0.000 0.000 0.000
Fe 1.173 2.114 -2.145
Fe 1.173 -2.114 2.145
Fe 2.346 1.848 0.000
Fe 2.346 0.000 1.953
Fe 0.000 3.027 0.000
Fe -1.173 2.114 2.145
Fe 1.173 2.114 2.145
Fe 0.000 5.428 0.000
Fe 0.000 4.227 2.337
Fe 0.000 2.379 4.289
Re 0.000 0.000 3.065
Re 0.000 0.000 5.513

(2)
50
Lattice="6.498 0.000 0.000 -1.622 9.304 0.000 -0.092 -4.701 9.011" Properties=species:S:1:pos:R:3 comment="Ca2B8O15, optimized geometry, DFT PBE" dft_energy_ev_per_atom=-7.693 de_polymorph_mev_per_atom=0 delta_e_f_ev_per_atom=-2.839 pbc="T T T"
Ca -0.192 0.663 1.982
Ca 1.848 -1.436 6.056
Ca 2.936 6.039 2.955
Ca 4.975 3.940 7.029
B -0.028 -2.663 8.358
B -0.188 0.818 5.646
B 0.114 5.450 4.282
B 0.093 7.377 2.537
B 0.825 3.331 3.091
B 0.741 6.776 0.196
B 1.700 2.095 6.885
B 1.460 4.605 6.237
B 3.324 -0.002 2.775
B 3.083 2.508 2.126
B 4.043 -2.172 8.816
B 3.959 1.272 5.920
B 4.690 -2.774 6.475
B 4.670 -0.846 4.729
B 4.971 3.785 3.365
B 4.811 7.267 0.653
O -1.266 4.936 4.072
O -1.322 7.371 2.088
O -0.502 2.866 3.133
O -0.629 2.415 8.765
O 0.771 -3.762 8.807
O 0.823 -1.487 8.211
O 0.255 6.824 3.863
O 1.076 0.975 6.113
O 0.440 5.444 5.743
O 2.041 -0.453 2.578
O 1.019 3.350 6.538
O 1.119 4.580 3.567
O 0.991 6.703 1.559
O 1.662 2.431 2.526
O 1.637 1.819 8.311
O 3.147 2.784 0.700
O 3.122 2.172 6.486
O 3.792 -2.099 7.452
O 3.664 0.023 5.444
O 3.764 1.253 2.473
O 2.743 5.056 6.433
O 4.344 -0.840 3.268
O 3.707 3.629 2.898
O 4.529 -2.221 5.148
O 3.960 6.091 0.800
O 4.013 8.366 0.204
O 5.413 2.188 0.246
O 5.286 1.738 5.878
O 6.105 -2.768 6.923
O 6.049 -0.332 4.940

(3)
60
Lattice="7.620 0.000 0.000 0.000 8.049 0.000 0.000 0.000 11.449" Properties=species:S:1:pos:R:3 comment="SrH6C2O6, optimized geometry, DFT PBE" dft_energy_ev_per_atom=-5.547 de_polymorph_mev_per_atom=445 delta_e_f_ev_per_atom=-1.142 pbc="T T T"
Sr 0.966 1.888 5.201
Sr 2.844 6.160 10.925
Sr 4.776 2.136 6.249
Sr 6.654 5.913 0.524
H 0.323 5.398 5.170
H 0.411 6.543 9.083
H 0.717 0.953 9.616
H 1.117 6.636 8.827
H 1.408 2.925 9.636
H 1.453 1.294 0.777
H 2.357 6.755 6.502
H 2.402 5.124 3.912
H 2.693 1.413 3.102
H 3.093 7.096 3.891
H 3.400 1.506 3.359
H 3.487 2.651 10.895
H 4.133 6.675 6.279
H 4.221 5.530 2.366
H 4.527 3.072 1.833
H 4.927 5.437 2.622
H 5.218 1.100 1.813
H 5.263 2.730 10.672
H 6.167 5.319 4.947
H 6.212 6.949 7.538
H 6.503 2.611 8.347
H 6.903 4.977 7.558
H 7.210 2.519 8.091
H 7.297 1.373 0.555
C 0.614 0.951 0.140
C 1.356 3.781 2.758
C 2.454 4.268 8.483
C 3.196 7.098 5.865
C 4.424 3.073 11.309
C 5.166 0.244 8.691
C 6.264 7.805 2.966
C 7.006 4.976 5.584
O 0.585 7.659 11.378
O 0.768 2.687 2.737
O 0.813 1.662 10.277
O 1.211 4.592 1.697
O 1.700 3.929 9.515
O 1.841 2.198 7.507
O 1.969 5.850 1.782
O 2.110 4.119 3.790
O 2.599 3.457 7.422
O 2.997 6.387 4.552
O 3.042 5.361 8.462
O 3.225 0.389 5.653
O 4.395 4.414 0.071
O 4.578 1.337 8.712
O 4.623 2.363 1.173
O 5.021 7.481 9.752
O 5.510 0.095 1.935
O 5.651 1.826 3.943
O 5.779 6.223 9.667
O 5.920 7.954 7.659
O 6.409 0.567 4.027
O 6.807 5.686 6.897
O 6.852 6.712 2.988
O 7.035 3.635 5.796

(4)
16
Lattice="1.991 -5.097 0.000 1.991 5.097 0.000 0.000 0.000 13.295" Properties=species:S:1:pos:R:3 comment="ZnSb2O5, optimized geometry, DFT PBE" dft_energy_ev_per_atom=-5.367 de_polymorph_mev_per_atom=51 delta_e_f_ev_per_atom=-1.514 pbc="T T T"
Zn 1.991 4.247 9.971
Zn 1.991 -4.247 3.324
Sb 1.991 2.989 1.426
Sb 1.991 2.989 5.222
Sb 1.991 -2.989 8.074
Sb 1.991 -2.989 11.869
O 1.991 4.843 1.756
O 1.991 4.843 4.891
O 1.991 2.574 7.762
O 1.991 2.574 12.181
O 1.991 2.012 3.324
O 1.991 -2.012 9.971
O 1.991 -2.574 1.114
O 1.991 -2.574 5.534
O 1.991 -4.843 8.404
O 1.991 -4.843 11.539

(5)
10
Lattice="4.008 0.000 0.000 0.000 4.008 0.000 0.000 0.000 7.995" Properties=species:S:1:pos:R:3 comment="KNaMg2F6, optimized geometry, DFT PBE" dft_energy_ev_per_atom=-4.935 de_polymorph_mev_per_atom=0 delta_e_f_ev_per_atom=-3.500 pbc="T T T"
K 0.000 0.000 0.000
Na 0.000 0.000 3.997
Mg 2.004 2.004 2.026
Mg 2.004 2.004 5.969
F 0.000 2.004 2.051
F 0.000 2.004 5.944
F 2.004 0.000 2.051
F 2.004 0.000 5.944
F 2.004 2.004 0.000
F 2.004 2.004 3.997